Material: MnNiGe
Method: DFT, PBE
State: optimized geometry

Computed properties:
- DFT formation energy: -0.453 eV per formula unit
- Total DFT energy (no corrections): -6.673 eV/atom

abc: 5.577 5.577 5.577
angles: 90.00 90.00 90.00
Space group F-43m (No. 216)
One atom of each set of equivalent atoms:
Mn1 0.000 0.000 0.000 (multiplicity 4)
Ni1 0.250 0.250 0.750 (multiplicity 4)
Ge1 0.000 0.000 0.500 (multiplicity 4)